(1)
DFT (PBE) results for crystalline CaSn4S9 at its relaxed geometry.

Unit cell a=6.357 b=14.382 c=14.382 alpha=120.00 beta=90.00 gamma=90.00
Fractional positions:
Ca1 0.000 0.672 0.672
Ca2 0.000 0.328 0.000
Ca3 0.000 0.000 0.328
Sn1 0.000 0.000 0.000
Sn2 0.124 0.333 0.667
Sn3 0.876 0.667 0.333
Sn4 0.500 0.182 0.182
Sn5 0.500 0.818 0.000
Sn6 0.500 0.000 0.818
Sn7 0.390 0.851 0.505
Sn8 0.390 0.495 0.346
Sn9 0.390 0.654 0.149
Sn10 0.610 0.149 0.654
Sn11 0.610 0.346 0.495
Sn12 0.610 0.505 0.851
S1 0.500 0.518 0.518
S2 0.500 0.482 0.000
S3 0.500 0.000 0.482
S4 0.114 0.827 0.376
S5 0.114 0.624 0.451
S6 0.114 0.549 0.173
S7 0.886 0.173 0.549
S8 0.886 0.451 0.624
S9 0.886 0.376 0.827
S10 0.760 0.882 0.836
S11 0.760 0.164 0.045
S12 0.760 0.955 0.118
S13 0.240 0.118 0.955
S14 0.240 0.045 0.164
S15 0.240 0.836 0.882
S16 0.233 0.901 0.678
S17 0.233 0.322 0.223
S18 0.233 0.777 0.099
S19 0.767 0.099 0.777
S20 0.767 0.223 0.322
S21 0.767 0.678 0.901
S22 0.668 0.738 0.505
S23 0.668 0.495 0.232
S24 0.668 0.768 0.262
S25 0.332 0.262 0.768
S26 0.332 0.232 0.495
S27 0.332 0.505 0.738

* space-group type: P321
* E above lowest polymorph: 43.4 meV per atom
* calculated formation energy: -11.1 eV/f.u.

(2)
DFT (PBE) results for crystalline Sr2NdSbO6 at its relaxed geometry.

Unit cell a=8.503 b=8.503 c=8.503 alpha=90.00 beta=90.00 gamma=90.00
Fractional positions:
Sr1 0.500 0.500 0.500
Sr2 0.000 0.000 0.000
Sr3 0.000 0.000 0.500
Sr4 0.000 0.500 0.000
Sr5 0.500 0.000 0.000
Sr6 0.500 0.500 0.000
Sr7 0.500 0.000 0.500
Sr8 0.000 0.500 0.500
Nd1 0.750 0.750 0.750
Nd2 0.750 0.250 0.250
Nd3 0.250 0.750 0.250
Nd4 0.250 0.250 0.750
Sb1 0.250 0.250 0.250
Sb2 0.250 0.750 0.750
Sb3 0.750 0.250 0.750
Sb4 0.750 0.750 0.250
O1 0.216 0.291 0.481
O2 0.216 0.709 0.519
O3 0.784 0.291 0.519
O4 0.784 0.709 0.481
O5 0.291 0.481 0.216
O6 0.709 0.519 0.216
O7 0.291 0.519 0.784
O8 0.709 0.481 0.784
O9 0.481 0.216 0.291
O10 0.519 0.216 0.709
O11 0.519 0.784 0.291
O12 0.481 0.784 0.709
O13 0.284 0.209 0.019
O14 0.284 0.791 0.981
O15 0.716 0.209 0.981
O16 0.716 0.791 0.019
O17 0.209 0.019 0.284
O18 0.791 0.981 0.284
O19 0.209 0.981 0.716
O20 0.791 0.019 0.716
O21 0.019 0.284 0.209
O22 0.981 0.284 0.791
O23 0.981 0.716 0.209
O24 0.019 0.716 0.791

* space-group type: Pn-3
* calculated formation energy: -30.0 eV/f.u.

(3)
DFT (PBE) results for crystalline SiO2 at its relaxed geometry.

Unit cell a=8.195 b=8.195 c=14.169 alpha=90.00 beta=90.00 gamma=101.97
Fractional positions:
Si1 0.187 0.589 0.317
Si2 0.589 0.187 0.683
Si3 0.813 0.411 0.317
Si4 0.411 0.813 0.683
Si5 0.313 0.909 0.185
Si6 0.909 0.313 0.815
Si7 0.687 0.091 0.185
Si8 0.091 0.687 0.815
Si9 0.337 0.663 0.500
Si10 0.663 0.337 0.500
Si11 0.500 0.500 0.364
Si12 0.500 0.500 0.636
Si13 0.000 0.000 0.139
Si14 0.000 0.000 0.861
Si15 0.161 0.839 0.000
Si16 0.839 0.161 0.000
O1 0.000 0.500 0.284
O2 0.500 0.000 0.716
O3 0.253 0.748 0.250
O4 0.748 0.253 0.750
O5 0.747 0.252 0.250
O6 0.252 0.747 0.750
O7 0.177 0.643 0.429
O8 0.643 0.177 0.571
O9 0.823 0.357 0.429
O10 0.357 0.823 0.571
O11 0.323 0.467 0.306
O12 0.467 0.323 0.694
O13 0.677 0.533 0.306
O14 0.533 0.677 0.694
O15 0.320 0.859 0.072
O16 0.859 0.320 0.928
O17 0.680 0.141 0.072
O18 0.141 0.680 0.928
O19 0.175 0.028 0.199
O20 0.028 0.175 0.801
O21 0.825 0.972 0.199
O22 0.972 0.825 0.801
O23 0.499 0.668 0.429
O24 0.668 0.499 0.571
O25 0.501 0.332 0.429
O26 0.332 0.501 0.571
O27 0.500 0.000 0.217
O28 0.000 0.500 0.783
O29 0.000 0.166 0.072
O30 0.166 0.000 0.928
O31 0.000 0.834 0.072
O32 0.834 0.000 0.928

* space-group type: C222
* calculated formation energy: -9.5 eV/f.u.

(4)
DFT (PBE) results for crystalline Y2CN2O2 at its relaxed geometry.

Unit cell a=3.745 b=3.745 c=8.228 alpha=90.00 beta=90.00 gamma=120.00
Fractional positions:
Y1 0.333 0.667 0.678
Y2 0.667 0.333 0.322
C1 0.000 0.000 0.000
N1 0.000 0.000 0.150
N2 0.000 0.000 0.850
O1 0.333 0.667 0.396
O2 0.667 0.333 0.604

* space-group type: P-3m1
* calculated formation energy: -16.5 eV/f.u.

(5)
DFT (PBE) results for crystalline K3Sb at its relaxed geometry.

Unit cell a=6.055 b=6.055 c=6.055 alpha=60.00 beta=60.00 gamma=60.00
Fractional positions:
K1 0.500 0.500 0.500
K2 0.750 0.750 0.750
K3 0.250 0.250 0.250
Sb1 0.000 0.000 0.000

* space-group type: Fm-3m
* E above lowest polymorph: 27.5 meV per atom
* calculated formation energy: -1.7 eV/f.u.

(6)
DFT (PBE) results for crystalline Mg6NbCr at its relaxed geometry.

Unit cell a=4.976 b=6.038 c=10.878 alpha=90.00 beta=90.00 gamma=90.00
Fractional positions:
Mg1 0.500 0.247 0.419
Mg2 0.500 0.753 0.419
Mg3 0.000 0.753 0.088
Mg4 0.000 0.247 0.088
Mg5 0.000 0.000 0.325
Mg6 0.000 0.500 0.325
Mg7 0.500 0.747 0.919
Mg8 0.500 0.253 0.919
Mg9 0.000 0.253 0.588
Mg10 0.000 0.747 0.588
Mg11 0.000 0.500 0.825
Mg12 0.000 0.000 0.825
Nb1 0.500 0.000 0.170
Nb2 0.500 0.500 0.670
Cr1 0.500 0.500 0.166
Cr2 0.500 0.000 0.666

* E above lowest polymorph: 46.4 meV per atom
* calculated formation energy: 2.3 eV/f.u.

(7)
DFT (PBE) results for crystalline PrGe2Pt2 at its relaxed geometry.

Unit cell a=4.396 b=4.406 c=10.083 alpha=90.00 beta=90.00 gamma=90.00
Fractional positions:
Pr1 0.257 0.000 0.747
Pr2 0.757 0.500 0.253
Ge1 0.233 0.000 0.131
Ge2 0.733 0.500 0.869
Ge3 0.275 0.500 0.500
Ge4 0.775 0.000 0.500
Pt1 0.275 0.000 0.377
Pt2 0.775 0.500 0.623
Pt3 0.231 0.500 0.000
Pt4 0.731 0.000 0.000

* space-group type: Pmn2_1
* calculated formation energy: -4.6 eV/f.u.

(8)
DFT (PBE) results for crystalline Rb2Li14Pb3O14 at its relaxed geometry.

Unit cell a=8.520 b=8.520 c=8.520 alpha=128.64 beta=123.24 gamma=80.06
Fractional positions:
Rb1 0.500 0.235 0.735
Rb2 0.500 0.765 0.265
Li1 0.842 0.500 0.342
Li2 0.158 0.500 0.658
Li3 0.415 0.770 0.646
Li4 0.585 0.230 0.354
Li5 0.876 0.230 0.646
Li6 0.124 0.770 0.354
Li7 0.709 0.593 0.572
Li8 0.291 0.863 0.885
Li9 0.978 0.407 0.115
Li10 0.022 0.137 0.428
Li11 0.291 0.407 0.428
Li12 0.709 0.137 0.115
Li13 0.022 0.593 0.885
Li14 0.978 0.863 0.572
Pb1 0.728 0.728 0.000
Pb2 0.272 0.272 0.000
Pb3 0.000 0.000 0.000
O1 0.749 0.041 0.292
O2 0.251 0.543 0.292
O3 0.251 0.959 0.708
O4 0.749 0.457 0.708
O5 0.000 0.705 0.705
O6 0.000 0.295 0.295
O7 0.686 0.873 0.813
O8 0.314 0.127 0.187
O9 0.940 0.127 0.813
O10 0.060 0.873 0.187
O11 0.411 0.629 0.782
O12 0.589 0.371 0.218
O13 0.153 0.371 0.782
O14 0.847 0.629 0.218

* space-group type: Immm
* calculated formation energy: -63.0 eV/f.u.

(9)
DFT (PBE) results for crystalline NdZnSn at its relaxed geometry.

Unit cell a=4.593 b=4.593 c=16.412 alpha=90.00 beta=90.00 gamma=120.00
Fractional positions:
Nd1 0.000 0.000 0.500
Nd2 0.000 0.000 0.000
Nd3 0.000 0.000 0.250
Nd4 0.000 0.000 0.750
Zn1 0.333 0.667 0.344
Zn2 0.667 0.333 0.656
Zn3 0.667 0.333 0.844
Zn4 0.333 0.667 0.156
Sn1 0.333 0.667 0.885
Sn2 0.667 0.333 0.115
Sn3 0.667 0.333 0.385
Sn4 0.333 0.667 0.615

* space-group type: P6_3/mmc
* calculated formation energy: -1.9 eV/f.u.

(10)
DFT (PBE) results for crystalline KHC3N6 at its relaxed geometry.

Unit cell a=3.933 b=9.084 c=10.826 alpha=103.49 beta=92.82 gamma=97.15
Fractional positions:
K1 0.808 0.194 0.947
K2 0.192 0.806 0.053
H1 0.167 0.268 0.386
H2 0.833 0.732 0.614
C1 0.489 0.488 0.838
C2 0.511 0.512 0.162
C3 0.153 0.304 0.675
C4 0.847 0.696 0.325
C5 0.833 0.128 0.261
C6 0.167 0.872 0.739
N1 0.634 0.611 0.891
N2 0.366 0.389 0.109
N3 0.349 0.346 0.793
N4 0.651 0.654 0.207
N5 0.107 0.413 0.613
N6 0.893 0.587 0.387
N7 0.017 0.158 0.631
N8 0.983 0.842 0.369
N9 0.732 0.035 0.162
N10 0.268 0.965 0.838
N11 0.910 0.226 0.365
N12 0.090 0.774 0.635

* space-group type: P-1
* calculated formation energy: 4.6 eV/f.u.

(11)
DFT (PBE) results for crystalline K3Y at its relaxed geometry.

Unit cell a=6.898 b=6.898 c=6.898 alpha=60.00 beta=60.00 gamma=60.00
Fractional positions:
K1 0.250 0.250 0.250
K2 0.750 0.750 0.750
K3 0.500 0.500 0.500
Y1 0.000 0.000 0.000

* space-group type: Fm-3m
* calculated formation energy: 2.3 eV/f.u.

(12)
DFT (PBE) results for crystalline CaP4O11 at its relaxed geometry.

Unit cell a=12.943 b=8.806 c=12.275 alpha=46.67 beta=90.00 gamma=90.00
Fractional positions:
Ca1 0.469 0.503 0.766
Ca2 0.969 0.497 0.734
Ca3 0.531 0.497 0.234
Ca4 0.031 0.503 0.266
P1 0.210 0.499 0.904
P2 0.710 0.501 0.596
P3 0.790 0.501 0.096
P4 0.290 0.499 0.404
P5 0.336 0.152 0.731
P6 0.836 0.848 0.769
P7 0.664 0.848 0.269
P8 0.164 0.152 0.231
P9 0.340 0.847 0.391
P10 0.840 0.153 0.109
P11 0.660 0.153 0.609
P12 0.160 0.847 0.891
P13 0.998 0.858 0.325
P14 0.498 0.142 0.175
P15 0.002 0.142 0.675
P16 0.502 0.858 0.825
O1 0.398 0.498 0.363
O2 0.898 0.502 0.137
O3 0.602 0.502 0.637
O4 0.102 0.498 0.863
O5 0.198 0.513 0.326
O6 0.698 0.487 0.174
O7 0.802 0.487 0.674
O8 0.302 0.513 0.826
O9 0.607 0.740 0.235
O10 0.107 0.260 0.265
O11 0.393 0.260 0.765
O12 0.893 0.740 0.735
O13 0.400 0.769 0.522
O14 0.900 0.231 0.978
O15 0.600 0.231 0.478
O16 0.976 0.741 0.281
O17 0.100 0.769 0.022
O18 0.516 0.241 0.018
O19 0.984 0.241 0.518
O20 0.484 0.759 0.982
O21 0.095 0.969 0.741
O22 0.595 0.031 0.759
O23 0.905 0.031 0.259
O24 0.405 0.969 0.241
O25 0.903 0.988 0.779
O26 0.403 0.012 0.721
O27 0.097 0.012 0.221
O28 0.597 0.988 0.279
O29 0.248 0.003 0.855
O30 0.748 0.997 0.645
O31 0.752 0.997 0.145
O32 0.252 0.003 0.355
O33 0.224 0.683 0.906
O34 0.724 0.317 0.594
O35 0.776 0.317 0.094
O36 0.276 0.683 0.406
O37 0.230 0.292 0.083
O38 0.730 0.708 0.417
O39 0.770 0.708 0.917
O40 0.270 0.292 0.583
O41 0.524 0.741 0.781
O42 0.024 0.259 0.719
O43 0.476 0.259 0.219
O44 0.016 0.759 0.482

* space-group type: P2_1/c
* calculated formation energy: -44.6 eV/f.u.

Number 1 is which compound?
CaSn4S9